An optimized crystal structure of LaBeCu12, computed with PBE-GGA.

Cell lengths 11.4467, 11.4467, 11.4467 Å; angles 90.00, 90.00, 90.00 degrees
Space group Fm-3c (No. 226)
One atom of each set of equivalent atoms:
La  0.2500  0.2500  0.2500 (multiplicity 8)
Be  0.0000  0.0000  0.0000 (multiplicity 8)
Cu  0.0000  0.1152  0.1765 (multiplicity 96)

Values from the calculation:
energy of formation = -0.107 eV per atom
total energy = -4.240 eV/atom


An optimized crystal structure of Be15Nb6Cu8, computed with PBE-GGA.

Cell lengths 10.8377, 10.8377, 10.8377 Å; angles 90.00, 90.00, 90.00 degrees
Space group Fm-3m (No. 225)
One atom of each set of equivalent atoms:
Be  0.0000  0.0000  0.0000 (multiplicity 4)
Be  0.0000  0.2500  0.2500 (multiplicity 24)
Be  0.1734  0.1734  0.3266 (multiplicity 32)
Nb  0.0000  0.0000  0.3069 (multiplicity 24)
Cu  0.1226  0.1226  0.1226 (multiplicity 32)

Values from the calculation:
energy of formation = -0.192 eV per atom
total energy = -5.347 eV/atom


An optimized crystal structure of NdBeCu4, computed with PBE-GGA.

Cell lengths 5.1605, 5.1605, 3.8544 Å; angles 90.00, 90.00, 120.00 degrees
Space group P-6m2 (No. 187)
One atom of each set of equivalent atoms:
Nd  0.0000  0.0000  0.0000 (multiplicity 1)
Be  0.3333  0.6667  0.0000 (multiplicity 1)
Cu  0.0100  0.5050  0.5000 (multiplicity 3)
Cu  0.6667  0.3333  0.0000 (multiplicity 1)

Values from the calculation:
energy of formation = -0.117 eV per atom
total energy = -4.268 eV/atom


An optimized crystal structure of Be2CuPd, computed with PBE-GGA.

Cell lengths 8.4448, 9.3278, 13.1867 Å; angles 90.00, 90.00, 90.00 degrees
Space group Immm (No. 71)
One atom of each set of equivalent atoms:
Be  0.2468  0.0000  0.0000 (multiplicity 4)
Cu  0.0000  0.5000  0.5000 (multiplicity 2)
Pd  0.0000  0.0000  0.0000 (multiplicity 2)

Values from the calculation:
energy of formation = 1.917 eV per atom
total energy = -2.272 eV/atom


An optimized crystal structure of Be2CuPt, computed with PBE-GGA.

Cell lengths 5.5635, 5.5635, 5.5635 Å; angles 90.00, 90.00, 90.00 degrees
Space group Fm-3m (No. 225)
One atom of each set of equivalent atoms:
Be  0.2500  0.2500  0.2500 (multiplicity 8)
Cu  0.0000  0.0000  0.0000 (multiplicity 4)
Pt  0.0000  0.0000  0.5000 (multiplicity 4)

Values from the calculation:
energy of formation = -0.460 eV per atom
total energy = -4.872 eV/atom


An optimized crystal structure of Be2CuRh, computed with PBE-GGA.

Cell lengths 5.4933, 5.4933, 5.4933 Å; angles 90.00, 90.00, 90.00 degrees
Space group Fm-3m (No. 225)
One atom of each set of equivalent atoms:
Be  0.2500  0.2500  0.2500 (multiplicity 8)
Cu  0.0000  0.0000  0.0000 (multiplicity 4)
Rh  0.0000  0.0000  0.5000 (multiplicity 4)

Values from the calculation:
energy of formation = -0.422 eV per atom
total energy = -5.158 eV/atom


An optimized crystal structure of Be2CuRu, computed with PBE-GGA.

Cell lengths 5.4599, 5.4599, 5.4599 Å; angles 90.00, 90.00, 90.00 degrees
Space group Fm-3m (No. 225)
One atom of each set of equivalent atoms:
Be  0.2500  0.2500  0.2500 (multiplicity 8)
Cu  0.0000  0.0000  0.0000 (multiplicity 4)
Ru  0.0000  0.0000  0.5000 (multiplicity 4)

Values from the calculation:
energy of formation = -0.248 eV per atom
total energy = -5.461 eV/atom


An optimized crystal structure of TmBeCu4, computed with PBE-GGA.

Cell lengths 4.9648, 4.9648, 11.5882 Å; angles 90.00, 90.00, 120.00 degrees
Space group R3m (No. 160, hexagonal axes)
One atom of each set of equivalent atoms:
Tm  0.0000  0.0000  0.0000 (multiplicity 3)
Be  0.0000  0.0000  0.3819 (multiplicity 3)
Cu  0.0000  0.0000  0.7484 (multiplicity 3)
Cu  0.1684  0.3367  0.2111 (multiplicity 9)

Values from the calculation:
energy of formation = -0.195 eV per atom
total energy = -4.297 eV/atom


An optimized crystal structure of YBeCu4, computed with PBE-GGA.

Cell lengths 5.0594, 5.0594, 3.8698 Å; angles 90.00, 90.00, 120.00 degrees
Space group P-6m2 (No. 187)
One atom of each set of equivalent atoms:
Y  0.0000  0.0000  0.0000 (multiplicity 1)
Be  0.3333  0.6667  0.0000 (multiplicity 1)
Cu  0.0092  0.5046  0.5000 (multiplicity 3)
Cu  0.6667  0.3333  0.0000 (multiplicity 1)

Values from the calculation:
energy of formation = -0.155 eV per atom
total energy = -4.589 eV/atom


An optimized crystal structure of DyBe13, computed with PBE-GGA.

Cell lengths 10.1775, 10.1775, 10.1775 Å; angles 90.00, 90.00, 90.00 degrees
Space group Fm-3c (No. 226)
One atom of each set of equivalent atoms:
Dy  0.2500  0.2500  0.2500 (multiplicity 8)
Be  0.0000  0.0000  0.0000 (multiplicity 8)
Be  0.0000  0.1138  0.1766 (multiplicity 96)

Values from the calculation:
energy of formation = -0.186 eV per atom
total energy = -3.988 eV/atom


An optimized crystal structure of RbDyBeF6, computed with PBE-GGA.

Cell lengths 6.5488, 5.9095, 7.1703 Å; angles 90.00, 113.54, 90.00 degrees
Space group P2_1/m (No. 11)
One atom of each set of equivalent atoms:
Rb  0.0771  0.2500  0.2110 (multiplicity 2)
Dy  0.3902  0.2500  0.8200 (multiplicity 2)
Be  0.2344  0.7500  0.4654 (multiplicity 2)
F  0.0075  0.7500  0.2711 (multiplicity 2)
F  0.2389  0.5343  0.5946 (multiplicity 4)
F  0.3260  0.5011  0.0324 (multiplicity 4)
F  0.4338  0.7500  0.4021 (multiplicity 2)

Values from the calculation:
energy of formation = -3.895 eV per atom
E (MP2020) = -6.2076 eV per atom
total energy = -5.900 eV/atom


An optimized crystal structure of Dy2Be2GeO7, computed with PBE-GGA.

Cell lengths 7.4477, 7.4477, 4.8255 Å; angles 90.00, 90.00, 90.00 degrees
Space group P-42_1m (No. 113)
One atom of each set of equivalent atoms:
Dy  0.1581  0.3419  0.0060 (multiplicity 4)
Be  0.1349  0.6349  0.5478 (multiplicity 4)
Ge  0.0000  0.0000  0.5000 (multiplicity 2)
O  0.0000  0.5000  0.6874 (multiplicity 2)
O  0.0821  0.8286  0.7165 (multiplicity 8)
O  0.1420  0.6420  0.2184 (multiplicity 4)

Values from the calculation:
energy of formation = -3.288 eV per atom
E (MP2020) = -7.9510 eV per atom
total energy = -7.550 eV/atom
maximum piezoelectric response = 0.4 C/m2


An optimized crystal structure of ErBe13, computed with PBE-GGA.

Cell lengths 10.1401, 10.1401, 10.1401 Å; angles 90.00, 90.00, 90.00 degrees
Space group Fm-3c (No. 226)
One atom of each set of equivalent atoms:
Er  0.2500  0.2500  0.2500 (multiplicity 8)
Be  0.0000  0.0000  0.0000 (multiplicity 8)
Be  0.0000  0.1141  0.1770 (multiplicity 96)

Values from the calculation:
energy of formation = -0.186 eV per atom
total energy = -3.985 eV/atom


An optimized crystal structure of KErBeF6, computed with PBE-GGA.

Cell lengths 6.4288, 5.8114, 7.0775 Å; angles 90.00, 113.03, 90.00 degrees
Space group P2_1/m (No. 11)
One atom of each set of equivalent atoms:
K  0.0714  0.2500  0.2035 (multiplicity 2)
Er  0.3889  0.2500  0.8201 (multiplicity 2)
Be  0.2337  0.7500  0.4650 (multiplicity 2)
F  0.0111  0.7500  0.2625 (multiplicity 2)
F  0.2335  0.5334  0.5968 (multiplicity 4)
F  0.3225  0.5011  0.0342 (multiplicity 4)
F  0.4419  0.7500  0.4070 (multiplicity 2)

Values from the calculation:
energy of formation = -3.901 eV per atom
E (MP2020) = -6.2241 eV per atom
total energy = -5.916 eV/atom


An optimized crystal structure of ErBeNF6, computed with PBE-GGA.

Cell lengths 6.4895, 5.8740, 7.3262 Å; angles 90.00, 113.01, 90.00 degrees
Space group P2_1/m (No. 11)
One atom of each set of equivalent atoms:
Er  0.1296  0.2500  0.2189 (multiplicity 2)
Be  0.2800  0.7500  0.5434 (multiplicity 2)
N  0.2950  0.2500  0.8520 (multiplicity 2)
F  0.0904  0.7500  0.6226 (multiplicity 2)
F  0.1467  0.0441  0.9493 (multiplicity 4)
F  0.2562  0.5374  0.4089 (multiplicity 4)
F  0.4894  0.2500  0.2775 (multiplicity 2)

Values from the calculation:
energy of formation = -2.667 eV per atom
E (MP2020) = -5.7931 eV per atom
total energy = -5.485 eV/atom


An optimized crystal structure of LiEr4Be4Si2O14, computed with PBE-GGA.

Cell lengths 7.4015, 7.4015, 4.7651 Å; angles 90.00, 90.00, 90.00 degrees
Space group P-4 (No. 81)
One atom of each set of equivalent atoms:
Li  0.0000  0.0000  0.0000 (multiplicity 1)
Er  0.1663  0.6428  0.9883 (multiplicity 4)
Be  0.1354  0.3640  0.4616 (multiplicity 4)
Si  0.0000  0.0000  0.5000 (multiplicity 1)
Si  0.5000  0.5000  0.5000 (multiplicity 1)
O  0.0000  0.5000  0.3186 (multiplicity 2)
O  0.0812  0.1581  0.2903 (multiplicity 4)
O  0.1397  0.3565  0.7947 (multiplicity 4)
O  0.3368  0.4208  0.2985 (multiplicity 4)

Values from the calculation:
energy of formation = -3.339 eV per atom
E (MP2020) = -7.9494 eV per atom
total energy = -7.565 eV/atom
distance to the lowest polymorph of the same formula = 0.000 eV per atom


An optimized crystal structure of LiEr4Be4Si2O14, computed with PBE-GGA.

Cell lengths 10.4587, 10.3081, 4.8659 Å; angles 90.00, 90.22, 90.00 degrees
Space group Cm (No. 8)
One atom of each set of equivalent atoms:
Li  0.0000  0.0000  0.0000 (multiplicity 2)
Er  0.0039  0.0000  0.5030 (multiplicity 2)
Er  0.1583  0.3422  0.4812 (multiplicity 4)
Er  0.3188  0.0000  0.5056 (multiplicity 2)
Be  0.0214  0.5000  0.9533 (multiplicity 2)
Be  0.1717  0.1406  0.0309 (multiplicity 4)
Be  0.2865  0.5000  0.9615 (multiplicity 2)
Si  0.4124  0.2494  0.9977 (multiplicity 4)
O  0.0156  0.5000  0.2839 (multiplicity 2)
O  0.0379  0.2098  0.1864 (multiplicity 4)
O  0.1566  0.5000  0.8055 (multiplicity 2)
O  0.1673  0.0000  0.1693 (multiplicity 2)
O  0.1676  0.1446  0.7028 (multiplicity 4)
O  0.2889  0.5000  0.2911 (multiplicity 2)
O  0.2920  0.2124  0.1993 (multiplicity 4)
O  0.3731  0.3764  0.8100 (multiplicity 4)
O  0.4488  0.1277  0.7953 (multiplicity 4)

Values from the calculation:
energy of formation = -3.321 eV per atom
E (MP2020) = -7.9316 eV per atom
total energy = -7.547 eV/atom
distance to the lowest polymorph of the same formula = 0.018 eV per atom